Here is a relaxed NaZr2P3O12 crystal from the Materials Project. Energies are from PBE.

Theoretical density   3.1 g/cm³
Total magnetic moment   0.001 μB/f.u.
Final energy   -285.6 eV/cell

a b c (Å): 9.247 9.247 9.247
angles (deg): 57.84 57.84 57.84
Sites, in units of the cell vectors:
Na 0.000 0.000 0.000
Na 0.500 0.500 0.500
Zr 0.145 0.145 0.145
Zr 0.355 0.355 0.355
Zr 0.645 0.645 0.645
Zr 0.855 0.855 0.855
P 0.041 0.750 0.459
P 0.250 0.541 0.959
P 0.459 0.041 0.750
P 0.541 0.959 0.250
P 0.750 0.459 0.041
P 0.959 0.250 0.541
O 0.004 0.791 0.619
O 0.063 0.916 0.281
O 0.084 0.719 0.937
O 0.119 0.291 0.504
O 0.209 0.381 0.996
O 0.219 0.584 0.437
O 0.281 0.063 0.916
O 0.291 0.504 0.119
O 0.381 0.996 0.209
O 0.416 0.563 0.781
O 0.437 0.219 0.584
O 0.496 0.881 0.709
O 0.504 0.119 0.291
O 0.563 0.781 0.416
O 0.584 0.437 0.219
O 0.619 0.004 0.791
O 0.709 0.496 0.881
O 0.719 0.937 0.084
O 0.781 0.416 0.563
O 0.791 0.619 0.004
O 0.881 0.709 0.496
O 0.916 0.281 0.063
O 0.937 0.084 0.719
O 0.996 0.209 0.381


Here is a relaxed DyNiC2 crystal from the Materials Project. Energies are from PBE.

Theoretical density   8.4 g/cm³
Final energy   -30.2 eV/cell

a b c (Å): 3.594 3.757 3.757
angles (deg): 73.90 90.00 90.00
Sites, in units of the cell vectors:
Dy 0.000 0.000 0.000
Ni 0.500 0.389 0.389
C 0.500 0.548 0.852
C 0.500 0.852 0.548


Here is a relaxed Mg16Al12Ni crystal from the Materials Project. Energies are from PBE.

Theoretical density   2.3 g/cm³
Total magnetic moment   0.001 μB/f.u.
Final energy   -77.1 eV/cell

a b c (Å): 8.986 8.986 8.986
angles (deg): 108.97 108.97 108.97
Sites, in units of the cell vectors:
Mg 0.000 0.000 0.000
Mg 0.012 0.012 0.659
Mg 0.012 0.659 0.012
Mg 0.018 0.415 0.693
Mg 0.018 0.693 0.415
Mg 0.314 0.585 0.585
Mg 0.329 0.329 0.735
Mg 0.329 0.735 0.329
Mg 0.415 0.018 0.693
Mg 0.415 0.693 0.018
Mg 0.585 0.314 0.585
Mg 0.585 0.585 0.314
Mg 0.659 0.012 0.012
Mg 0.693 0.018 0.415
Mg 0.693 0.415 0.018
Mg 0.735 0.329 0.329
Al 0.017 0.195 0.376
Al 0.017 0.376 0.195
Al 0.195 0.017 0.376
Al 0.195 0.376 0.017
Al 0.207 0.823 0.823
Al 0.376 0.017 0.195
Al 0.376 0.195 0.017
Al 0.658 0.658 0.847
Al 0.658 0.847 0.658
Al 0.823 0.207 0.823
Al 0.823 0.823 0.207
Al 0.847 0.658 0.658
Ni 0.274 0.274 0.274


Here is a relaxed U2PbSe5 crystal from the Materials Project. Energies are from PBE.

Theoretical density   8.8 g/cm³
Total magnetic moment   4.000 μB/f.u.
Energy relative to the lowest polymorph listed for this composition   111 meV/atom

a b c (Å): 12.886 8.108 7.823
angles (deg): 90.00 90.00 90.00
Sites, in units of the cell vectors:
U 0.179 0.002 0.020
U 0.179 0.498 0.020
U 0.321 0.502 0.520
U 0.321 0.998 0.520
U 0.679 0.002 0.480
U 0.679 0.498 0.480
U 0.821 0.502 0.980
U 0.821 0.998 0.980
Pb 0.009 0.250 0.567
Pb 0.491 0.750 0.067
Pb 0.509 0.250 0.933
Pb 0.991 0.750 0.433
Se 0.001 0.250 0.982
Se 0.120 0.539 0.672
Se 0.120 0.961 0.672
Se 0.189 0.250 0.326
Se 0.213 0.750 0.303
Se 0.287 0.250 0.803
Se 0.311 0.750 0.826
Se 0.380 0.039 0.172
Se 0.380 0.461 0.172
Se 0.499 0.750 0.482
Se 0.501 0.250 0.518
Se 0.620 0.539 0.828
Se 0.620 0.961 0.828
Se 0.689 0.250 0.174
Se 0.713 0.750 0.197
Se 0.787 0.250 0.697
Se 0.811 0.750 0.674
Se 0.880 0.039 0.328
Se 0.880 0.461 0.328
Se 0.999 0.750 0.018


Here is a relaxed Ca3Mn2N4 crystal from the Materials Project. Energies are from PBE.

Theoretical density   4.1 g/cm³
Total magnetic moment   2.061 μB/f.u.
Energy relative to the lowest polymorph listed for this composition   58 meV/atom

a b c (Å): 6.740 6.740 5.328
angles (deg): 92.14 92.14 75.65
Sites, in units of the cell vectors:
Ca 0.098 0.902 0.750
Ca 0.246 0.515 0.457
Ca 0.485 0.754 0.043
Ca 0.515 0.246 0.957
Ca 0.754 0.485 0.543
Ca 0.902 0.098 0.250
Mn 0.080 0.332 0.918
Mn 0.332 0.080 0.418
Mn 0.668 0.920 0.582
Mn 0.920 0.668 0.082
N 0.103 0.233 0.589
N 0.200 0.558 0.976
N 0.233 0.103 0.089
N 0.442 0.800 0.524
N 0.558 0.200 0.476
N 0.767 0.897 0.911
N 0.800 0.442 0.024
N 0.897 0.767 0.411


Here is a relaxed SrIn5 crystal from the Materials Project. Energies are from PBE.

Theoretical density   6.0 g/cm³
Total magnetic moment   0.014 μB/f.u.
Final energy   -16.3 eV/cell

a b c (Å): 6.409 6.409 5.172
angles (deg): 90.00 90.00 120.00
Sites, in units of the cell vectors:
Sr 0.000 0.000 0.000
In 0.000 0.500 0.500
In 0.333 0.667 0.000
In 0.500 0.000 0.500
In 0.500 0.500 0.500
In 0.667 0.333 0.000


Here is a relaxed CrPd3 crystal from the Materials Project. Energies are from PBE.

Theoretical density   10.3 g/cm³
Final energy   -25.5 eV/cell

a b c (Å): 3.915 3.915 3.915
angles (deg): 90.00 90.00 90.00
Sites, in units of the cell vectors:
Cr 0.000 0.000 0.000
Pd 0.000 0.500 0.500
Pd 0.500 0.000 0.500
Pd 0.500 0.500 0.000


Here is a relaxed Lu2Ni17 crystal from the Materials Project. Energies are from PBE.

Theoretical density   9.6 g/cm³
Total magnetic moment   6.925 μB/f.u.
Final energy   -222.6 eV/cell

a b c (Å): 8.214 8.214 8.000
angles (deg): 90.00 90.00 120.00
Sites, in units of the cell vectors:
Lu 0.000 0.000 0.250
Lu 0.000 0.000 0.750
Lu 0.333 0.667 0.250
Lu 0.667 0.333 0.750
Ni 0.000 0.500 0.000
Ni 0.000 0.500 0.500
Ni 0.038 0.366 0.750
Ni 0.038 0.672 0.750
Ni 0.165 0.331 0.019
Ni 0.165 0.331 0.481
Ni 0.165 0.835 0.019
Ni 0.165 0.835 0.481
Ni 0.328 0.366 0.750
Ni 0.328 0.962 0.750
Ni 0.331 0.165 0.519
Ni 0.331 0.165 0.981
Ni 0.333 0.667 0.602
Ni 0.333 0.667 0.898
Ni 0.366 0.038 0.250
Ni 0.366 0.328 0.250
Ni 0.500 0.000 0.000
Ni 0.500 0.000 0.500
Ni 0.500 0.500 0.000
Ni 0.500 0.500 0.500
Ni 0.634 0.672 0.750
Ni 0.634 0.962 0.750
Ni 0.667 0.333 0.102
Ni 0.667 0.333 0.398
Ni 0.669 0.835 0.019
Ni 0.669 0.835 0.481
Ni 0.672 0.038 0.250
Ni 0.672 0.634 0.250
Ni 0.835 0.165 0.519
Ni 0.835 0.165 0.981
Ni 0.835 0.669 0.519
Ni 0.835 0.669 0.981
Ni 0.962 0.328 0.250
Ni 0.962 0.634 0.250